[1]
# BeH4NF3 | the Materials Project database | PBE | relaxed
# - Total magnetic moment: 0.00 μB/f.u.
# - Largest piezoelectric modulus: 0.72 C/m²
# - Formation energy: -1.780 eV per atom
# - Crystal system: orthorhombic
data_BeH4NF3
_cell_length_a 4.3714
_cell_length_b 6.0178
_cell_length_c 13.9582
_cell_angle_alpha 90.00
_cell_angle_beta 90.00
_cell_angle_gamma 90.00
_space_group_name_H-M_alt 'P 1'
_space_group_IT_number 1
loop_
_space_group_symop_operation_xyz
'x,y,z'
loop_
_atom_site_label
_atom_site_fract_x
_atom_site_fract_y
_atom_site_fract_z
Be1 0.0915 0.0286 0.1184
Be2 0.4085 0.9714 0.6184
Be3 0.5915 0.4714 0.8816
Be4 0.9085 0.5286 0.3816
H1 0.0051 0.9434 0.7836
H2 0.0075 0.8026 0.8879
H3 0.1797 0.5522 0.6230
H4 0.2105 0.0484 0.8754
H5 0.2895 0.9516 0.3754
H6 0.3203 0.4478 0.1230
H7 0.4925 0.1974 0.3879
H8 0.4949 0.0566 0.2836
H9 0.5051 0.5566 0.2164
H10 0.5075 0.6974 0.1121
H11 0.6797 0.9478 0.3770
H12 0.7105 0.4516 0.1246
H13 0.7895 0.5484 0.6246
H14 0.8203 0.0522 0.8770
H15 0.9925 0.3026 0.6121
H16 0.9949 0.4434 0.7164
N1 0.0125 0.9622 0.8567
N2 0.4875 0.0378 0.3567
N3 0.5125 0.5378 0.1433
N4 0.9875 0.4622 0.6433
F1 0.0133 0.2688 0.1084
F2 0.0677 0.3803 0.3147
F3 0.1327 0.0514 0.5669
F4 0.3673 0.9486 0.0669
F5 0.4323 0.6197 0.8147
F6 0.4867 0.7312 0.6084
F7 0.5133 0.2312 0.8916
F8 0.5677 0.1197 0.6853
F9 0.6327 0.4486 0.4331
F10 0.8673 0.5514 0.9331
F11 0.9323 0.8803 0.1853
F12 0.9867 0.7688 0.3916



[2]
# YCu2 | the Materials Project database | PBE | relaxed
# - Total magnetic moment: 0.00 μB/f.u.
# - Formation energy: -0.155 eV per atom
# - Crystal system: cubic
data_YCu2
_cell_length_a 5.2759
_cell_length_b 5.2759
_cell_length_c 5.2759
_cell_angle_alpha 60.00
_cell_angle_beta 60.00
_cell_angle_gamma 60.00
_space_group_name_H-M_alt 'P 1'
_space_group_IT_number 1
loop_
_space_group_symop_operation_xyz
'x,y,z'
loop_
_atom_site_label
_atom_site_fract_x
_atom_site_fract_y
_atom_site_fract_z
Y1 0.1250 0.1250 0.1250
Y2 0.8750 0.8750 0.8750
Cu1 0.0000 0.5000 0.5000
Cu2 0.5000 0.0000 0.5000
Cu3 0.5000 0.5000 0.0000
Cu4 0.5000 0.5000 0.5000



[3]
# Hf6CoSb2 | the Materials Project database | PBE | relaxed
# - Formation energy: -0.530 eV per atom
# - Crystal system: hexagonal
data_Hf6CoSb2
_cell_length_a 7.7505
_cell_length_b 7.7505
_cell_length_c 3.5826
_cell_angle_alpha 90.00
_cell_angle_beta 90.00
_cell_angle_gamma 120.00
_space_group_name_H-M_alt 'P 1'
_space_group_IT_number 1
loop_
_space_group_symop_operation_xyz
'x,y,z'
loop_
_atom_site_label
_atom_site_fract_x
_atom_site_fract_y
_atom_site_fract_z
Hf1 0.0000 0.2390 0.0000
Hf2 0.0000 0.6026 0.5000
Hf3 0.2390 0.0000 0.0000
Hf4 0.3974 0.3974 0.5000
Hf5 0.6026 0.0000 0.5000
Hf6 0.7610 0.7610 0.0000
Co1 0.0000 0.0000 0.5000
Sb1 0.3333 0.6667 0.0000
Sb2 0.6667 0.3333 0.0000